No. 1
Material: La3DyC8
Method: DFT, PBE-GGA
State: relaxed

Cell lengths 3.9011, 3.9011, 12.9404 Å; angles 90.00, 90.00, 90.00 degrees
With the nearest neighbours (Å) after each atom.
Fractional positions:
La: 0.0000 0.0000 0.0000  10 C 2.66-2.83
La: 0.5000 0.5000 0.2501  10 C 2.59-2.85
La: 0.5000 0.5000 0.7499  10 C 2.59-2.85
Dy: 0.0000 0.0000 0.5000  2 C 2.51
C: 0.0000 0.0000 0.2056  1 C 1.30
C: 0.0000 0.0000 0.3062  1 C 1.30
C: 0.0000 0.0000 0.6938  1 C 1.30
C: 0.0000 0.0000 0.7944  1 C 1.30
C: 0.5000 0.5000 0.0502  1 C 1.30
C: 0.5000 0.5000 0.4500  1 C 1.30
C: 0.5000 0.5000 0.5500  1 C 1.30
C: 0.5000 0.5000 0.9498  1 C 1.30

Computed properties:
Formation enthalpy at 0 K = -0.143 eV/atom

***

No. 2
Material: Mg2Cd
Method: DFT, PBE-GGA
State: relaxed

Cell lengths 3.2142, 16.1363, 5.0853 Å; angles 90.00, 90.00, 90.00 degrees
With the nearest neighbours (Å) after each atom.
Fractional positions:
Mg: 0.0000 0.0554 0.2500  6 Mg 3.11-3.21, 6 Cd 3.14
Mg: 0.0000 0.2768 0.7500  4 Cd 3.11, 8 Mg 3.13-3.21
Mg: 0.0000 0.7232 0.2500  4 Cd 3.11, 8 Mg 3.13-3.21
Mg: 0.0000 0.9446 0.7500  6 Mg 3.11-3.21, 6 Cd 3.14
Mg: 0.5000 0.2232 0.2500  4 Cd 3.11, 8 Mg 3.13-3.21
Mg: 0.5000 0.4446 0.7500  6 Mg 3.11-3.21, 6 Cd 3.14
Mg: 0.5000 0.5554 0.2500  6 Mg 3.11-3.21, 6 Cd 3.14
Mg: 0.5000 0.7768 0.7500  4 Cd 3.11, 8 Mg 3.13-3.21
Cd: 0.0000 0.3882 0.2500  10 Mg 3.11-3.14, 2 Cd 3.21
Cd: 0.0000 0.6118 0.7500  10 Mg 3.11-3.14, 2 Cd 3.21
Cd: 0.5000 0.1118 0.7500  10 Mg 3.11-3.14, 2 Cd 3.21
Cd: 0.5000 0.8882 0.2500  10 Mg 3.11-3.14, 2 Cd 3.21

Computed properties:
Formation enthalpy at 0 K = -0.097 eV/atom

***

No. 3
Material: MnBe12
Method: DFT, PBE-GGA
State: relaxed

Cell lengths 5.4589, 5.4589, 5.4589 Å; angles 98.10, 98.10, 135.90 degrees
With the nearest neighbours (Å) after each atom.
Fractional positions:
Mn: 0.0000 0.0000 0.0000  20 Be 2.48-2.73
Be: 0.0000 0.0000 0.5000  10 Be 2.05-2.17
Be: 0.0000 0.3464 0.3464  9 Be 2.17-2.35
Be: 0.0000 0.5000 0.0000  10 Be 2.05-2.17
Be: 0.0000 0.6536 0.6536  9 Be 2.17-2.35
Be: 0.2901 0.5000 0.7901  8 Be 2.08-2.27
Be: 0.3464 0.0000 0.3464  9 Be 2.17-2.35
Be: 0.5000 0.0000 0.0000  10 Be 2.05-2.17
Be: 0.5000 0.2901 0.7901  8 Be 2.08-2.27
Be: 0.5000 0.5000 0.5000  10 Be 2.05-2.17
Be: 0.5000 0.7099 0.2099  8 Be 2.08-2.27
Be: 0.6536 0.0000 0.6536  9 Be 2.17-2.35
Be: 0.7099 0.5000 0.2099  8 Be 2.08-2.27

Computed properties:
Formation enthalpy at 0 K = -0.063 eV/atom

***

No. 4
Material: Ba2GdTaO6
Method: DFT, PBE-GGA
State: relaxed

Cell lengths 6.0764, 6.0764, 6.0764 Å; angles 120.22, 120.22, 89.62 degrees
With the nearest neighbours (Å) after each atom.
Fractional positions:
Ba: 0.2500 0.7500 0.5000  8 O 2.86-3.03
Ba: 0.7500 0.2500 0.5000  8 O 2.86-3.03
Gd: 0.0000 0.0000 0.0000  6 O 2.29-2.30
Ta: 0.5000 0.5000 0.0000  6 O 2.02
O: 0.2362 0.2970 0.5332  1 Ta 2.02
O: 0.2657 0.2657 0.0000  1 Ta 2.02
O: 0.2970 0.7638 0.0608  1 Ta 2.02
O: 0.7030 0.2362 0.9392  1 Ta 2.02
O: 0.7343 0.7343 0.0000  1 Ta 2.02
O: 0.7638 0.7030 0.4668  1 Ta 2.02

Computed properties:
Formation enthalpy at 0 K = -3.545 eV/atom

***

No. 5
Material: Te4Mo3WSe2S2
Method: DFT, PBE-GGA
State: relaxed

Cell lengths 3.4002, 3.4002, 38.7665 Å; angles 90.00, 90.00, 120.00 degrees
With the nearest neighbours (Å) after each atom.
Fractional positions:
Te: 0.0000 0.0000 0.0000  3 Mo 2.71
Te: 0.0000 0.0000 0.0965  3 Mo 2.71
Te: 0.3333 0.6667 0.8117  3 W 2.72
Te: 0.3333 0.6667 0.9089  3 W 2.72
Mo: 0.0000 0.0000 0.4846  6 S 2.47
Mo: 0.3333 0.6667 0.0483  6 Te 2.71
Mo: 0.3333 0.6667 0.6725  6 Se 2.56
W: 0.0000 0.0000 0.8603  6 Te 2.72
Se: 0.0000 0.0000 0.6299  3 Mo 2.56
Se: 0.0000 0.0000 0.7150  3 Mo 2.56
S: 0.3333 0.6667 0.4458  3 Mo 2.47
S: 0.3333 0.6667 0.5234  3 Mo 2.47

Computed properties:
Energy relative to the lowest polymorph listed for this composition = 0.86 kcal/mol of atoms
Formation enthalpy at 0 K = -0.499 eV/atom